A plane-wave DFT calculation with GGA+U was carried out for Li3P3W2O12 after structural relaxation.

abc: 9.077 8.866 15.399
angles: 55.09 90.00 90.00
Atoms (fractional coordinates):
Li1 0.071 0.234 0.705
Li2 0.775 0.611 0.178
Li3 0.729 0.975 0.822
Li4 0.229 0.025 0.678
Li5 0.275 0.389 0.322
Li6 0.571 0.766 0.795
Li7 0.429 0.234 0.205
Li8 0.725 0.611 0.678
Li9 0.771 0.975 0.322
Li10 0.271 0.025 0.178
Li11 0.225 0.389 0.822
Li12 0.929 0.766 0.295
P1 0.245 0.451 0.501
P2 0.392 0.043 0.850
P3 0.102 0.743 0.149
P4 0.602 0.257 0.351
P5 0.892 0.957 0.650
P6 0.745 0.549 0.999
P7 0.255 0.451 0.001
P8 0.108 0.043 0.350
P9 0.398 0.743 0.649
P10 0.898 0.257 0.851
P11 0.608 0.957 0.150
P12 0.755 0.549 0.499
W1 0.542 0.142 0.613
W2 0.042 0.858 0.887
W3 0.958 0.142 0.113
W4 0.458 0.858 0.387
W5 0.457 0.641 0.113
W6 0.957 0.359 0.387
W7 0.043 0.641 0.613
W8 0.543 0.359 0.887
O1 0.870 0.534 0.430
O2 0.671 0.371 0.575
O3 0.890 0.082 0.850
O4 0.595 0.763 0.173
O5 0.340 0.283 0.583
O6 0.409 0.892 0.966
O7 0.235 0.038 0.808
O8 0.978 0.623 0.232
O9 0.169 0.395 0.432
O10 0.252 0.643 0.188
O11 0.054 0.784 0.044
O12 0.514 0.016 0.786
O13 0.014 0.984 0.714
O14 0.554 0.216 0.456
O15 0.752 0.357 0.312
O16 0.669 0.605 0.068
O17 0.478 0.377 0.268
O18 0.735 0.962 0.692
O19 0.909 0.108 0.534
O20 0.840 0.717 0.917
O21 0.390 0.918 0.650
O22 0.095 0.237 0.327
O23 0.171 0.629 0.925
O24 0.370 0.466 0.070
O25 0.630 0.534 0.930
O26 0.829 0.371 0.075
O27 0.905 0.763 0.673
O28 0.610 0.082 0.350
O29 0.160 0.283 0.083
O30 0.091 0.892 0.466
O31 0.265 0.038 0.308
O32 0.522 0.623 0.732
O33 0.331 0.395 0.932
O34 0.248 0.643 0.688
O35 0.446 0.784 0.544
O36 0.986 0.016 0.286
O37 0.486 0.984 0.214
O38 0.946 0.216 0.956
O39 0.748 0.357 0.812
O40 0.831 0.605 0.568
O41 0.022 0.377 0.768
O42 0.765 0.962 0.192
O43 0.591 0.108 0.034
O44 0.660 0.717 0.417
O45 0.405 0.237 0.827
O46 0.110 0.918 0.150
O47 0.329 0.629 0.425
O48 0.130 0.466 0.570

Magnetization in μB per formula unit: 0.000
Calculated formation energy in meV/atom: -2485
Relative energy among the computed polymorphs in meV per atom: 13.7
Calculated volume in Å³ per atom: 12.70

=====

A plane-wave DFT calculation with GGA+U was carried out for LiP3W2O13 after structural relaxation.

abc: 8.934 8.934 8.907
angles: 69.18 69.18 105.29
Atoms (fractional coordinates):
Li1 0.000 0.500 0.500
Li2 0.500 0.000 0.000
P1 0.488 0.512 0.250
P2 0.848 0.260 0.060
P3 0.260 0.848 0.560
P4 0.740 0.152 0.440
P5 0.152 0.740 0.940
P6 0.512 0.488 0.750
W1 0.172 0.339 0.171
W2 0.661 0.828 0.329
W3 0.339 0.172 0.671
W4 0.828 0.661 0.829
O1 0.152 0.600 0.097
O2 0.603 0.501 0.082
O3 0.037 0.299 0.033
O4 0.556 0.710 0.207
O5 0.198 0.144 0.232
O6 0.746 0.070 0.094
O7 0.400 0.848 0.403
O8 0.856 0.802 0.268
O9 0.070 0.746 0.594
O10 0.290 0.444 0.293
O11 0.739 0.261 0.250
O12 0.501 0.603 0.582
O13 0.299 0.037 0.533
O14 0.701 0.963 0.467
O15 0.499 0.397 0.418
O16 0.261 0.739 0.750
O17 0.710 0.556 0.707
O18 0.930 0.254 0.406
O19 0.144 0.198 0.732
O20 0.600 0.152 0.597
O21 0.254 0.930 0.906
O22 0.802 0.856 0.768
O23 0.444 0.290 0.793
O24 0.963 0.701 0.967
O25 0.397 0.499 0.918
O26 0.848 0.400 0.903

Magnetization in μB per formula unit: 1.999
Calculated formation energy in meV/atom: -2426
Relative energy among the computed polymorphs in meV per atom: 51.7
Calculated volume in Å³ per atom: 14.63

=====

A plane-wave DFT calculation with GGA+U was carried out for LiP4WO12 after structural relaxation.

abc: 8.318 11.892 12.924
angles: 57.48 90.00 90.00
Atoms (fractional coordinates):
Li1 0.064 0.413 0.647
Li2 0.564 0.587 0.853
Li3 0.436 0.413 0.147
Li4 0.936 0.587 0.353
P1 0.632 0.214 0.810
P2 0.432 0.375 0.876
P3 0.830 0.712 0.949
P4 0.932 0.625 0.624
P5 0.977 0.967 0.752
P6 0.132 0.786 0.690
P7 0.477 0.033 0.748
P8 0.670 0.712 0.449
P9 0.330 0.288 0.551
P10 0.523 0.967 0.252
P11 0.868 0.214 0.310
P12 0.023 0.033 0.248
P13 0.068 0.375 0.376
P14 0.170 0.288 0.051
P15 0.568 0.625 0.124
P16 0.368 0.786 0.190
W1 0.767 0.231 0.050
W2 0.233 0.769 0.950
W3 0.267 0.769 0.450
W4 0.733 0.231 0.550
O1 0.741 0.178 0.916
O2 0.293 0.271 0.962
O3 0.007 0.321 0.990
O4 0.574 0.376 0.952
O5 0.483 0.302 0.807
O6 0.753 0.625 0.912
O7 0.874 0.486 0.711
O8 0.205 0.717 0.816
O9 0.374 0.514 0.789
O10 0.425 0.892 0.832
O11 0.101 0.949 0.844
O12 0.831 0.866 0.827
O13 0.544 0.079 0.838
O14 0.983 0.698 0.693
O15 0.074 0.624 0.548
O16 0.507 0.679 0.510
O17 0.044 0.921 0.662
O18 0.793 0.729 0.538
O19 0.241 0.822 0.584
O20 0.331 0.134 0.673
O21 0.601 0.051 0.656
O22 0.925 0.108 0.668
O23 0.747 0.625 0.412
O24 0.705 0.283 0.684
O25 0.295 0.717 0.316
O26 0.253 0.375 0.588
O27 0.075 0.892 0.332
O28 0.399 0.949 0.344
O29 0.669 0.866 0.327
O30 0.759 0.178 0.416
O31 0.207 0.271 0.462
O32 0.956 0.079 0.338
O33 0.493 0.321 0.490
O34 0.926 0.376 0.452
O35 0.017 0.302 0.307
O36 0.456 0.921 0.162
O37 0.169 0.134 0.173
O38 0.899 0.051 0.156
O39 0.575 0.108 0.168
O40 0.626 0.486 0.211
O41 0.795 0.283 0.184
O42 0.126 0.514 0.289
O43 0.247 0.375 0.088
O44 0.517 0.698 0.193
O45 0.426 0.624 0.048
O46 0.993 0.679 0.010
O47 0.707 0.729 0.038
O48 0.259 0.822 0.084

Magnetization in μB per formula unit: 3.000
Calculated formation energy in meV/atom: -2475
Relative energy among the computed polymorphs in meV per atom: 65.3
Calculated volume in Å³ per atom: 14.97

=====

A plane-wave DFT calculation with GGA+U was carried out for LiP4WO12 after structural relaxation.

abc: 8.926 6.973 7.481
angles: 83.70 90.00 90.00
Atoms (fractional coordinates):
Li1 0.482 0.697 0.681
Li2 0.982 0.303 0.319
P1 0.884 0.963 0.605
P2 0.169 0.927 0.089
P3 0.019 0.575 0.617
P4 0.353 0.576 0.053
P5 0.853 0.424 0.947
P6 0.519 0.425 0.383
P7 0.669 0.073 0.911
P8 0.384 0.037 0.395
W1 0.819 0.745 0.244
W2 0.319 0.255 0.756
O1 0.798 0.996 0.788
O2 0.185 0.036 0.907
O3 0.775 0.872 0.486
O4 0.018 0.927 0.180
O5 0.007 0.793 0.670
O6 0.464 0.859 0.465
O7 0.203 0.701 0.076
O8 0.466 0.683 0.936
O9 0.977 0.565 0.420
O10 0.808 0.621 0.994
O11 0.895 0.457 0.735
O12 0.173 0.501 0.668
O13 0.673 0.499 0.332
O14 0.395 0.543 0.265
O15 0.308 0.379 0.006
O16 0.477 0.435 0.580
O17 0.966 0.317 0.064
O18 0.703 0.299 0.924
O19 0.964 0.141 0.535
O20 0.507 0.207 0.330
O21 0.518 0.073 0.820
O22 0.275 0.128 0.514
O23 0.685 0.964 0.093
O24 0.298 0.004 0.212

Magnetization in μB per formula unit: 3.000
Calculated formation energy in meV/atom: -2487
Relative energy among the computed polymorphs in meV per atom: 53.1
Calculated volume in Å³ per atom: 12.86

=====

A plane-wave DFT calculation with GGA+U was carried out for Rb2LiPr2W4O16 after structural relaxation.

abc: 8.101 7.733 7.603
angles: 63.14 62.80 89.92
Atoms (fractional coordinates):
Rb1 0.875 0.151 0.743
Rb2 0.201 0.795 0.246
Li1 0.613 0.365 0.749
Pr1 0.211 0.760 0.756
Pr2 0.785 0.249 0.239
W1 0.292 0.315 0.703
W2 0.690 0.690 0.294
W3 0.681 0.706 0.794
W4 0.310 0.298 0.203
O1 0.357 0.244 0.953
O2 0.624 0.741 0.066
O3 0.741 0.635 0.560
O4 0.266 0.377 0.423
O5 0.652 0.953 0.629
O6 0.342 0.053 0.373
O7 0.070 0.393 0.854
O8 0.918 0.629 0.139
O9 0.417 0.633 0.523
O10 0.591 0.373 0.487
O11 0.384 0.599 0.960
O12 0.622 0.401 0.014
O13 0.226 0.042 0.802
O14 0.766 0.956 0.198
O15 0.935 0.771 0.706
O16 0.053 0.246 0.295

Magnetization in μB per formula unit: 1.000
Calculated formation energy in meV/atom: -2575
Relative energy among the computed polymorphs in meV per atom: 10.5
Calculated volume in Å³ per atom: 14.60

=====

A plane-wave DFT calculation with GGA+U was carried out for Rb2LiPr2W4O16 after structural relaxation.

abc: 7.876 7.876 7.515
angles: 63.39 63.39 92.78
Atoms (fractional coordinates):
Rb1 0.786 0.214 0.750
Rb2 0.246 0.754 0.250
Li1 0.007 0.993 0.250
Pr1 0.228 0.772 0.750
Pr2 0.756 0.244 0.250
W1 0.288 0.310 0.710
W2 0.708 0.691 0.293
W3 0.690 0.712 0.790
W4 0.309 0.292 0.207
O1 0.352 0.239 0.956
O2 0.645 0.758 0.045
O3 0.761 0.648 0.544
O4 0.242 0.355 0.455
O5 0.624 0.936 0.636
O6 0.382 0.071 0.360
O7 0.064 0.376 0.864
O8 0.929 0.618 0.140
O9 0.419 0.627 0.525
O10 0.576 0.376 0.482
O11 0.373 0.581 0.975
O12 0.624 0.424 0.018
O13 0.210 0.036 0.832
O14 0.791 0.964 0.187
O15 0.964 0.790 0.668
O16 0.036 0.209 0.313

Magnetization in μB per formula unit: 0.993
Calculated formation energy in meV/atom: -2550
Relative energy among the computed polymorphs in meV per atom: 35.0
Calculated volume in Å³ per atom: 14.16

=====

A plane-wave DFT calculation with GGA+U was carried out for Rb2LiPr2W4O16 after structural relaxation.

abc: 7.628 8.135 7.595
angles: 62.65 62.55 88.38
Atoms (fractional coordinates):
Rb1 0.751 0.150 0.804
Rb2 0.225 0.845 0.230
Li1 0.010 0.474 0.370
Pr1 0.245 0.794 0.745
Pr2 0.762 0.206 0.263
W1 0.292 0.321 0.699
W2 0.693 0.682 0.293
W3 0.695 0.683 0.788
W4 0.318 0.305 0.199
O1 0.365 0.266 0.933
O2 0.630 0.735 0.064
O3 0.765 0.616 0.559
O4 0.236 0.384 0.447
O5 0.624 0.910 0.643
O6 0.382 0.080 0.359
O7 0.040 0.347 0.875
O8 0.958 0.655 0.136
O9 0.404 0.622 0.540
O10 0.599 0.386 0.459
O11 0.376 0.588 0.974
O12 0.641 0.416 0.021
O13 0.249 0.066 0.788
O14 0.751 0.931 0.216
O15 0.959 0.771 0.695
O16 0.028 0.260 0.316

Magnetization in μB per formula unit: 0.999
Calculated formation energy in meV/atom: -2585
Relative energy among the computed polymorphs in meV per atom: 0.0
Calculated volume in Å³ per atom: 14.45

=====

A plane-wave DFT calculation with GGA+U was carried out for Rb3LiTbV2O8 after structural relaxation.

abc: 5.985 5.985 8.802
angles: 90.00 90.00 120.00
Atoms (fractional coordinates):
Rb1 0.667 0.333 0.273
Rb2 0.333 0.667 0.731
Rb3 0.000 0.000 0.932
Li1 0.000 0.000 0.233
Tb1 0.000 0.000 0.515
V1 0.667 0.333 0.743
V2 0.333 0.667 0.265
O1 0.667 0.333 0.935
O2 0.333 0.667 0.067
O3 0.828 0.656 0.678
O4 0.164 0.327 0.338
O5 0.828 0.172 0.678
O6 0.164 0.836 0.338
O7 0.344 0.172 0.678
O8 0.673 0.836 0.338

Magnetization in μB per formula unit: 1.011
Calculated formation energy in meV/atom: -2502
Relative energy among the computed polymorphs in meV per atom: 70.8
Calculated volume in Å³ per atom: 18.20